(1)
Compound: ZnS
Source: the Materials Project database
Functional: meta-GGA r2SCAN
Structure: optimized geometry

The structure in POSCAR format:
```
ZnS
1.0
3.810 0.000 0.000
-1.905 3.300 0.000
0.000 0.000 87.130
S Zn
28 28
Direct
0.333 0.667 0.598 S
0.000 0.000 0.455 S
0.333 0.667 0.277 S
0.333 0.667 0.813 S
0.667 0.333 0.420 S
0.000 0.000 0.955 S
0.667 0.333 0.312 S
0.333 0.667 0.170 S
0.667 0.333 0.991 S
0.667 0.333 0.634 S
0.000 0.000 0.777 S
0.333 0.667 0.491 S
0.667 0.333 0.205 S
0.000 0.000 0.134 S
0.667 0.333 0.848 S
0.667 0.333 0.527 S
0.000 0.000 0.884 S
0.000 0.000 0.241 S
0.667 0.333 0.741 S
0.333 0.667 0.705 S
0.333 0.667 0.063 S
0.667 0.333 0.098 S
0.333 0.667 0.384 S
0.333 0.667 0.920 S
0.000 0.000 0.563 S
0.000 0.000 0.348 S
0.000 0.000 0.027 S
0.000 0.000 0.670 S
0.000 0.000 0.857 Zn
0.333 0.667 0.893 Zn
0.000 0.000 0.429 Zn
0.333 0.667 0.143 Zn
0.000 0.000 0.750 Zn
0.667 0.333 0.821 Zn
0.667 0.333 0.393 Zn
0.333 0.667 0.464 Zn
0.000 0.000 0.107 Zn
0.667 0.333 0.286 Zn
0.333 0.667 0.679 Zn
0.000 0.000 0.321 Zn
0.000 0.000 0.000 Zn
0.000 0.000 0.929 Zn
0.667 0.333 0.071 Zn
0.333 0.667 0.571 Zn
0.333 0.667 0.786 Zn
0.667 0.333 0.607 Zn
0.000 0.000 0.214 Zn
0.000 0.000 0.536 Zn
0.667 0.333 0.964 Zn
0.000 0.000 0.643 Zn
0.333 0.667 0.250 Zn
0.333 0.667 0.036 Zn
0.667 0.333 0.179 Zn
0.333 0.667 0.357 Zn
0.667 0.333 0.714 Zn
0.667 0.333 0.500 Zn
```

## Properties
- Total energy: -528.360 eV/cell
- E_form: -0.963 eV per atom

=====

(2)
Compound: ZnS
Source: the Materials Project database
Functional: meta-GGA r2SCAN
Structure: optimized geometry

The structure in POSCAR format:
```
ZnS
1.0
3.810 0.000 0.000
-1.905 3.300 0.000
0.000 0.000 74.742
Zn S
24 24
Direct
0.667 0.333 0.208 Zn
0.333 0.667 0.042 Zn
0.333 0.667 0.542 Zn
0.000 0.000 0.625 Zn
0.000 0.000 0.875 Zn
0.333 0.667 0.167 Zn
0.667 0.333 0.083 Zn
0.667 0.333 0.708 Zn
0.667 0.333 0.583 Zn
0.333 0.667 0.667 Zn
0.000 0.000 0.375 Zn
0.667 0.333 0.833 Zn
0.333 0.667 0.792 Zn
0.667 0.333 0.917 Zn
0.333 0.667 0.417 Zn
0.000 0.000 0.250 Zn
0.000 0.000 0.000 Zn
0.000 0.000 0.125 Zn
0.000 0.000 0.750 Zn
0.333 0.667 0.958 Zn
0.667 0.333 0.333 Zn
0.000 0.000 0.500 Zn
0.667 0.333 0.458 Zn
0.333 0.667 0.292 Zn
0.000 0.000 0.406 S
0.667 0.333 0.240 S
0.667 0.333 0.365 S
0.667 0.333 0.615 S
0.667 0.333 0.115 S
0.333 0.667 0.073 S
0.000 0.000 0.281 S
0.000 0.000 0.781 S
0.000 0.000 0.031 S
0.667 0.333 0.865 S
0.000 0.000 0.656 S
0.333 0.667 0.573 S
0.333 0.667 0.990 S
0.333 0.667 0.323 S
0.000 0.000 0.906 S
0.000 0.000 0.156 S
0.667 0.333 0.948 S
0.333 0.667 0.448 S
0.667 0.333 0.490 S
0.333 0.667 0.698 S
0.667 0.333 0.740 S
0.333 0.667 0.823 S
0.333 0.667 0.198 S
0.000 0.000 0.531 S
```

## Properties
- Total energy: -452.864 eV/cell
- E_form: -0.962 eV per atom

=====

(3)
Compound: ZnS
Source: the Materials Project database
Functional: meta-GGA r2SCAN
Structure: optimized geometry

The structure in POSCAR format:
```
ZnS
1.0
1.904 -3.299 0.000
1.904 3.299 0.000
0.000 0.000 68.452
S Zn
22 22
Direct
0.000 0.000 0.261 S
0.667 0.333 0.489 S
0.667 0.333 0.080 S
0.667 0.333 0.761 S
0.333 0.667 0.716 S
0.000 0.000 0.398 S
0.000 0.000 0.807 S
0.000 0.000 0.125 S
0.667 0.333 0.852 S
0.667 0.333 0.216 S
0.333 0.667 0.898 S
0.000 0.000 0.534 S
0.333 0.667 0.307 S
0.667 0.333 0.989 S
0.000 0.000 0.670 S
0.667 0.333 0.625 S
0.333 0.667 0.170 S
0.667 0.333 0.352 S
0.333 0.667 0.034 S
0.000 0.000 0.943 S
0.333 0.667 0.580 S
0.333 0.667 0.443 S
0.667 0.333 0.955 Zn
0.000 0.000 0.500 Zn
0.000 0.000 0.364 Zn
0.000 0.000 0.091 Zn
0.667 0.333 0.591 Zn
0.333 0.667 0.409 Zn
0.667 0.333 0.727 Zn
0.000 0.000 0.773 Zn
0.333 0.667 0.273 Zn
0.667 0.333 0.318 Zn
0.000 0.000 0.636 Zn
0.000 0.000 0.227 Zn
0.333 0.667 0.000 Zn
0.333 0.667 0.682 Zn
0.667 0.333 0.045 Zn
0.000 0.000 0.909 Zn
0.333 0.667 0.136 Zn
0.333 0.667 0.864 Zn
0.667 0.333 0.818 Zn
0.667 0.333 0.182 Zn
0.333 0.667 0.545 Zn
0.667 0.333 0.455 Zn
```

## Properties
- Total energy: -415.138 eV/cell
- E_form: -0.963 eV per atom

=====

(4)
Compound: ZnS
Source: the Materials Project database
Functional: meta-GGA r2SCAN
Structure: optimized geometry

The structure in POSCAR format:
```
ZnS
1.0
3.807 0.000 0.000
-1.903 3.297 0.000
0.000 0.000 62.303
S Zn
20 20
Direct
0.000 0.000 0.037 S
0.000 0.000 0.638 S
0.667 0.333 0.837 S
0.333 0.667 0.687 S
0.333 0.667 0.437 S
0.333 0.667 0.587 S
0.000 0.000 0.487 S
0.000 0.000 0.937 S
0.667 0.333 0.537 S
0.333 0.667 0.887 S
0.000 0.000 0.338 S
0.000 0.000 0.187 S
0.000 0.000 0.788 S
0.667 0.333 0.387 S
0.333 0.667 0.087 S
0.333 0.667 0.237 S
0.667 0.333 0.988 S
0.667 0.333 0.287 S
0.667 0.333 0.737 S
0.667 0.333 0.137 S
0.333 0.667 0.650 Zn
0.333 0.667 0.400 Zn
0.667 0.333 0.500 Zn
0.333 0.667 0.200 Zn
0.000 0.000 0.300 Zn
0.667 0.333 0.700 Zn
0.667 0.333 0.100 Zn
0.667 0.333 0.250 Zn
0.000 0.000 0.750 Zn
0.667 0.333 0.800 Zn
0.000 0.000 0.600 Zn
0.000 0.000 0.000 Zn
0.000 0.000 0.150 Zn
0.333 0.667 0.850 Zn
0.000 0.000 0.450 Zn
0.333 0.667 0.050 Zn
0.667 0.333 0.950 Zn
0.000 0.000 0.900 Zn
0.667 0.333 0.350 Zn
0.333 0.667 0.550 Zn
```

## Properties
- Total energy: -377.386 eV/cell
- E_form: -0.962 eV per atom

=====

(5)
Compound: ZnS
Source: the Materials Project database
Functional: meta-GGA r2SCAN
Structure: optimized geometry

The structure in POSCAR format:
```
ZnS
1.0
3.807 0.000 0.000
-1.904 3.297 0.000
0.000 0.000 49.828
Zn S
16 16
Direct
0.000 0.000 0.750 Zn
0.333 0.667 0.875 Zn
0.667 0.333 0.188 Zn
0.000 0.000 0.937 Zn
0.333 0.667 0.125 Zn
0.333 0.667 0.688 Zn
0.000 0.000 0.437 Zn
0.000 0.000 0.063 Zn
0.667 0.333 0.625 Zn
0.333 0.667 0.500 Zn
0.667 0.333 0.813 Zn
0.000 0.000 0.563 Zn
0.667 0.333 0.000 Zn
0.333 0.667 0.313 Zn
0.667 0.333 0.375 Zn
0.000 0.000 0.250 Zn
0.667 0.333 0.047 S
0.333 0.667 0.922 S
0.000 0.000 0.609 S
0.667 0.333 0.672 S
0.333 0.667 0.172 S
0.000 0.000 0.109 S
0.667 0.333 0.234 S
0.333 0.667 0.359 S
0.000 0.000 0.984 S
0.667 0.333 0.422 S
0.667 0.333 0.859 S
0.000 0.000 0.797 S
0.000 0.000 0.297 S
0.333 0.667 0.547 S
0.000 0.000 0.484 S
0.333 0.667 0.734 S
```

## Properties
- Total energy: -301.915 eV/cell
- E_form: -0.963 eV per atom

=====

(6)
Compound: ZnS
Source: the Materials Project database
Functional: meta-GGA r2SCAN
Structure: optimized geometry

The structure in POSCAR format:
```
ZnS
1.0
3.807 0.000 0.000
-1.904 3.297 0.000
0.000 0.000 99.679
Zn S
32 32
Direct
0.333 0.667 0.594 Zn
0.000 0.000 0.688 Zn
0.333 0.667 0.719 Zn
0.667 0.333 0.656 Zn
0.667 0.333 0.875 Zn
0.667 0.333 0.344 Zn
0.000 0.000 0.438 Zn
0.000 0.000 0.844 Zn
0.667 0.333 0.063 Zn
0.333 0.667 0.406 Zn
0.000 0.000 0.094 Zn
0.333 0.667 0.219 Zn
0.333 0.667 0.500 Zn
0.667 0.333 0.750 Zn
0.000 0.000 0.625 Zn
0.333 0.667 0.031 Zn
0.000 0.000 0.281 Zn
0.667 0.333 0.969 Zn
0.000 0.000 0.531 Zn
0.000 0.000 0.375 Zn
0.333 0.667 0.906 Zn
0.333 0.667 0.125 Zn
0.667 0.333 0.250 Zn
0.333 0.667 0.313 Zn
0.000 0.000 0.781 Zn
0.667 0.333 0.469 Zn
0.667 0.333 0.813 Zn
0.667 0.333 0.563 Zn
0.667 0.333 0.156 Zn
0.000 0.000 0.188 Zn
0.000 0.000 0.938 Zn
0.000 0.000 0.000 Zn
0.333 0.667 0.930 S
0.000 0.000 0.461 S
0.333 0.667 0.242 S
0.667 0.333 0.586 S
0.667 0.333 0.180 S
0.333 0.667 0.055 S
0.000 0.000 0.398 S
0.667 0.333 0.773 S
0.333 0.667 0.742 S
0.667 0.333 0.836 S
0.667 0.333 0.086 S
0.333 0.667 0.523 S
0.000 0.000 0.211 S
0.667 0.333 0.680 S
0.667 0.333 0.898 S
0.000 0.000 0.867 S
0.000 0.000 0.648 S
0.667 0.333 0.367 S
0.000 0.000 0.305 S
0.333 0.667 0.336 S
0.333 0.667 0.430 S
0.667 0.333 0.492 S
0.667 0.333 0.992 S
0.333 0.667 0.617 S
0.000 0.000 0.805 S
0.667 0.333 0.273 S
0.000 0.000 0.961 S
0.333 0.667 0.148 S
0.000 0.000 0.711 S
0.000 0.000 0.117 S
0.000 0.000 0.023 S
0.000 0.000 0.555 S
```

## Properties
- Total energy: -603.823 eV/cell
- E_form: -0.962 eV per atom

=====

(7)
Compound: ZnS
Source: the Materials Project database
Functional: meta-GGA r2SCAN
Structure: optimized geometry

The structure in POSCAR format:
```
ZnS
1.0
-2.113 -0.296 -3.157
-1.656 -0.197 3.426
-9.732 74.148 -0.430
S Zn
24 24
Direct
0.667 0.333 0.698 S
0.000 0.000 0.531 S
0.000 0.000 0.656 S
0.000 0.000 0.406 S
0.333 0.667 0.073 S
0.667 0.333 0.115 S
0.333 0.667 0.615 S
0.667 0.333 0.573 S
0.333 0.667 0.906 S
0.000 0.000 0.948 S
0.000 0.000 0.031 S
0.333 0.667 0.365 S
0.667 0.333 0.323 S
0.667 0.333 0.490 S
0.000 0.000 0.281 S
0.667 0.333 0.240 S
0.667 0.333 0.823 S
0.333 0.667 0.448 S
0.000 0.000 0.781 S
0.000 0.000 0.865 S
0.333 0.667 0.740 S
0.000 0.000 0.156 S
0.667 0.333 0.990 S
0.333 0.667 0.198 S
0.000 0.000 0.375 Zn
0.333 0.667 0.417 Zn
0.667 0.333 0.542 Zn
0.667 0.333 0.958 Zn
0.667 0.333 0.792 Zn
0.000 0.000 0.125 Zn
0.333 0.667 0.583 Zn
0.333 0.667 0.875 Zn
0.667 0.333 0.667 Zn
0.667 0.333 0.292 Zn
0.000 0.000 0.750 Zn
0.000 0.000 0.250 Zn
0.333 0.667 0.333 Zn
0.333 0.667 0.708 Zn
0.333 0.667 0.042 Zn
0.667 0.333 0.458 Zn
0.000 0.000 0.917 Zn
0.667 0.333 0.083 Zn
0.333 0.667 0.167 Zn
0.000 0.000 0.625 Zn
0.000 0.000 0.833 Zn
0.667 0.333 0.208 Zn
0.000 0.000 0.000 Zn
0.000 0.000 0.500 Zn
```

## Properties
- Total energy: -452.844 eV/cell
- E_form: -0.962 eV per atom

=====

(8)
Compound: ZnS
Source: the Materials Project database
Functional: meta-GGA r2SCAN
Structure: optimized geometry

The structure in POSCAR format:
```
ZnS
1.0
3.807 0.000 0.000
-1.904 3.297 0.000
0.000 0.000 62.296
Zn S
20 20
Direct
0.333 0.667 0.400 Zn
0.333 0.667 0.850 Zn
0.667 0.333 0.600 Zn
0.000 0.000 0.800 Zn
0.000 0.000 0.350 Zn
0.333 0.667 0.200 Zn
0.333 0.667 0.300 Zn
0.333 0.667 0.500 Zn
0.667 0.333 0.750 Zn
0.333 0.667 0.950 Zn
0.000 0.000 0.550 Zn
0.667 0.333 0.450 Zn
0.000 0.000 0.000 Zn
0.667 0.333 0.900 Zn
0.000 0.000 0.150 Zn
0.667 0.333 0.100 Zn
0.333 0.667 0.700 Zn
0.333 0.667 0.050 Zn
0.667 0.333 0.250 Zn
0.000 0.000 0.650 Zn
0.333 0.667 0.987 S
0.000 0.000 0.837 S
0.667 0.333 0.288 S
0.667 0.333 0.638 S
0.333 0.667 0.237 S
0.667 0.333 0.938 S
0.667 0.333 0.488 S
0.333 0.667 0.537 S
0.333 0.667 0.437 S
0.000 0.000 0.687 S
0.333 0.667 0.887 S
0.333 0.667 0.337 S
0.667 0.333 0.137 S
0.000 0.000 0.187 S
0.333 0.667 0.737 S
0.333 0.667 0.087 S
0.000 0.000 0.587 S
0.000 0.000 0.038 S
0.000 0.000 0.388 S
0.667 0.333 0.787 S
```

## Properties
- Total energy: -377.377 eV/cell
- E_form: -0.962 eV per atom